Density functional theory data (PBE-GGA) for a relaxed structure of Bi2P3O12.

abc: 9.047 9.080 15.232
angles: 90.00 124.93 90.00
Space group P2_1/c (No. 14)
Asymmetric unit:
Bi1 0.126 0.041 0.378 x4
Bi2 0.363 0.031 0.116 x4
P1 0.035 0.748 0.498 x4
P2 0.249 0.117 0.845 x4
P3 0.451 0.613 0.855 x4
O1 0.002 0.116 0.574 x4
O2 0.009 0.713 0.088 x4
O3 0.097 0.501 0.291 x4
O4 0.102 0.127 0.076 x4
O5 0.173 0.225 0.304 x4
O6 0.230 0.693 0.550 x4
O7 0.274 0.627 0.851 x4
O8 0.346 0.104 0.967 x4
O9 0.383 0.096 0.814 x4
O10 0.389 0.072 0.532 x4
O11 0.429 0.013 0.279 x4
O12 0.468 0.736 0.314 x4

## Properties
Formation energy from the elements: -2.14 eV per atom
Distance to the lowest polymorph of the same formula: 17.6 meV per atom
E: -6.565 eV/atom
Density: 4.551 g cm⁻³